A relaxed structure of Mn3P4H2Pb2O16. Source: Materials Project, functional PBE with a Hubbard U.

```
54
Lattice="8.079 0.000 0.000 0.000 9.003 0.000 -1.852 0.000 9.541" Properties=species:S:1:pos:R:3 pbc="T T T"
Mn 0.000 0.000 0.000
Mn -0.926 4.501 4.770
Mn -0.227 1.242 5.646
Mn 0.699 3.259 0.876
Mn 5.527 5.744 8.665
Mn 6.454 7.761 3.895
P 0.708 6.343 2.215
P -0.218 7.162 6.986
P 1.021 1.857 8.896
P 1.947 2.645 4.126
P 4.279 6.358 5.415
P 5.205 7.146 0.644
P 6.444 1.841 2.555
P 5.518 2.660 7.325
H 2.413 6.035 4.117
H 1.487 7.470 8.887
H 4.739 1.533 0.653
H 3.813 2.968 5.424
Pb 1.892 4.752 7.182
Pb 2.819 8.752 2.412
Pb 3.408 0.251 7.129
Pb 4.334 4.251 2.359
O -0.279 6.142 3.394
O -1.205 7.363 8.165
O 0.401 5.374 1.044
O -0.525 8.131 5.814
O -0.316 5.682 6.496
O 0.611 7.822 1.725
O 1.946 0.982 0.241
O 1.020 3.519 5.011
O 0.915 1.569 7.399
O 1.841 2.932 2.629
O 1.714 1.162 4.501
O 0.788 3.339 9.271
O 2.182 6.165 2.733
O 1.256 7.340 7.503
O 2.753 5.971 5.123
O 3.680 7.533 0.352
O 2.547 1.469 9.188
O 3.473 3.032 4.418
O 4.970 1.663 2.037
O 4.044 2.838 6.807
O 5.438 5.663 0.270
O 4.512 7.841 5.040
O 4.385 6.071 6.911
O 5.311 7.434 2.141
O 5.206 5.484 4.530
O 4.280 8.020 9.300
O 5.615 1.181 7.815
O 6.542 3.321 3.045
O 6.751 0.872 3.726
O 5.825 3.629 8.497
O 7.431 1.640 1.376
O 6.505 2.861 6.146
```

Calculated values
**E (MP2020)**: -412.557 eV per cell



A relaxed structure of RbMnP3HO10. Source: Materials Project, functional PBE with a Hubbard U.

```
32
Lattice="7.587 0.000 0.000 2.538 7.151 0.000 2.144 1.516 8.523" Properties=species:S:1:pos:R:3 pbc="T T T"
Rb 0.000 0.000 0.000
Rb 5.791 4.096 4.252
Mn 2.130 3.133 2.125
Mn 8.212 7.539 6.383
P 3.280 0.939 4.136
P 3.811 1.313 0.111
P 4.853 4.060 0.355
P 9.855 5.644 8.348
P 9.451 5.359 4.422
P 7.930 0.881 3.891
H 6.754 7.333 2.119
H 10.303 4.572 6.394
O 3.052 4.877 5.262
O 4.300 7.768 4.626
O 2.504 1.782 0.765
O 3.277 2.329 3.482
O 4.058 4.161 1.625
O 4.048 0.989 5.450
O 6.830 6.650 7.838
O 6.232 6.976 3.165
O 5.653 2.121 7.321
O 6.767 4.151 8.142
O 4.723 0.551 1.084
O 6.413 3.973 0.793
O 8.290 5.916 5.272
O 6.976 1.397 4.933
O 9.716 6.922 7.499
O 8.889 4.310 3.466
O 9.912 4.361 7.506
O 8.104 1.664 2.621
O 10.019 6.536 3.451
O 8.891 4.304 0.778
```

Calculated values
**E (MP2020)**: -237.870 eV per cell



A relaxed structure of RbMnP3HO10. Source: Materials Project, functional PBE with a Hubbard U.

```
32
Lattice="6.205 -4.241 0.000 6.205 4.241 0.000 -3.091 0.000 8.736" Properties=species:S:1:pos:R:3 pbc="T T T"
Rb 3.886 3.719 6.552
Rb 5.432 -3.719 2.184
Mn 3.102 2.120 0.000
Mn 1.557 -2.120 4.368
P 1.462 0.525 6.168
P 3.008 -0.525 1.800
P 5.432 1.102 2.184
P 3.886 -1.102 6.552
P 6.311 0.525 6.936
P 7.856 -0.525 2.568
H 1.557 2.120 4.368
H 3.102 -2.120 0.000
O 2.070 1.682 5.368
O 0.430 0.928 7.210
O 2.363 0.569 0.925
O 5.040 1.873 0.953
O 0.818 -0.569 5.293
O 5.824 1.873 3.415
O 1.976 -0.928 2.842
O 4.243 0.107 2.631
O 2.698 -0.107 6.999
O 5.703 1.682 7.736
O 3.615 -1.682 1.000
O 6.620 0.107 1.737
O 5.075 -0.107 6.105
O 7.343 0.928 5.895
O 3.494 -1.873 5.322
O 8.500 0.569 3.443
O 4.278 -1.873 7.783
O 6.955 -0.569 7.811
O 8.888 -0.928 1.527
O 7.248 -1.682 3.368
```

Calculated values
**E (MP2020)**: -237.853 eV per cell



A relaxed structure of MnTl2P4H8O16. Source: Materials Project, functional PBE with a Hubbard U.

```
31
Lattice="7.054 0.000 0.000 0.536 7.649 0.000 2.178 1.019 7.452" Properties=species:S:1:pos:R:3 pbc="T T T"
Mn 0.000 0.000 0.000
Tl 3.634 6.151 1.553
Tl 6.134 2.516 5.899
P 1.861 2.080 1.928
P 3.768 6.066 5.604
P 6.000 2.602 1.848
P 7.907 6.587 5.524
H 2.699 3.295 5.911
H 2.398 2.179 4.807
H 2.024 3.551 0.276
H 4.153 2.204 3.063
H 5.615 6.464 4.389
H 7.744 5.116 7.177
H 7.371 6.489 2.645
H 7.069 5.373 1.541
O 2.201 2.454 5.742
O 2.311 6.243 4.898
O 1.718 0.983 0.887
O 3.778 4.696 6.286
O 2.737 1.760 3.123
O 4.073 7.241 6.509
O 2.370 3.413 1.246
O 4.651 6.076 4.305
O 5.117 2.592 3.147
O 7.398 5.254 6.206
O 5.695 1.427 0.943
O 7.032 6.907 4.329
O 5.990 3.971 1.166
O 8.050 7.684 6.565
O 7.457 2.424 2.554
O 7.568 6.214 1.710
```

Calculated values
**E (MP2020)**: -204.056 eV per cell



Results for energy: -7.048; -6.900; -6.899; -6.174 (in eV per atom, following the order of the records).
Results for ΔE_f: -228; -239; -239; -194 (in kJ per mole of atoms, following the order of the records).